No. 1
# KAlSi3O8

An optimized crystal structure of KAlSi3O8 (PBE, the Materials Project database). Values from VASP.

Structure (Quantum ESPRESSO input):
```
&SYSTEM
  ibrav = 0, nat = 13, ntyp = 4
/
ATOMIC_SPECIES
K 39.10 K.upf
Al 26.98 Al.upf
Si 28.09 Si.upf
O 16.00 O.upf
CELL_PARAMETERS angstrom
1.376 6.628 0.000
-1.376 6.628 0.000
0.000 6.555 6.759
ATOMIC_POSITIONS crystal
K 0.500 0.500 0.999
Al 0.350 0.350 0.815
Si 0.653 0.653 0.179
Si 0.167 0.167 0.483
Si 0.837 0.837 0.515
O 0.550 0.550 0.615
O 0.459 0.459 0.378
O 0.162 0.162 0.299
O 0.834 0.834 0.699
O 0.143 0.143 0.066
O 0.838 0.838 0.965
O 0.209 0.209 0.632
O 0.798 0.798 0.357
```

Computed properties:
DFT formation energy, meV/atom: -3057.5
Spin magnetization, μB/atom: 0.000
E, eV per cell: -94.967
Crystal system: monoclinic
SG: No. 8
ΔE to the lowest computed polymorph, meV/atom: 189
Calculated volume, Å³/atom: 9.48

=====

No. 2
# KAlSiO4

An optimized crystal structure of KAlSiO4 (PBE, the Materials Project database). Values from VASP.

Structure (Quantum ESPRESSO input):
```
&SYSTEM
  ibrav = 0, nat = 14, ntyp = 4
/
ATOMIC_SPECIES
K 39.10 K.upf
Al 26.98 Al.upf
Si 28.09 Si.upf
O 16.00 O.upf
CELL_PARAMETERS angstrom
-2.504 -1.059 -4.467
-1.098 -2.729 4.324
-6.273 5.884 2.120
ATOMIC_POSITIONS crystal
K 0.000 0.000 0.754
K 0.000 0.000 0.254
Al 0.333 0.667 0.060
Al 0.667 0.333 0.560
Si 0.667 0.333 0.942
Si 0.333 0.667 0.442
O 0.667 0.333 0.757
O 0.333 0.667 0.257
O 0.382 0.397 0.500
O 0.603 0.986 0.500
O 0.014 0.618 0.500
O 0.397 0.382 0.000
O 0.618 0.014 0.000
O 0.986 0.603 0.000
```

Computed properties:
DFT formation energy, meV/atom: -3187.2
Spin magnetization, μB/atom: 0.000
E, eV per cell: -99.272
Crystal system: trigonal
SG: No. 159
ΔE to the lowest computed polymorph, meV/atom: 2
Calculated volume, Å³/atom: 14.99